(1)
First-principles (PBE-GGA) data for an optimized crystal structure of K3Ag2P5O20, as listed in the Materials Project database.

Cell and atoms, written as POSCAR:
```
K3Ag2P5O20
1.0
-7.336 0.000 0.000
2.453 10.173 0.000
-0.288 -2.719 -13.988
P O K Ag
10 40 6 4
Cartesian
1.477 8.109 -0.555 P
-5.540 0.522 -10.939 P
0.369 6.932 -3.050 P
-4.897 3.188 -10.109 P
-0.274 4.266 -3.879 P
0.433 5.366 -10.206 P
-4.233 3.077 -1.332 P
-0.938 4.376 -12.657 P
-5.604 2.087 -3.782 P
-6.648 -0.656 -13.433 P
-5.601 3.071 -0.469 O
-0.753 -0.715 -13.900 O
-4.734 3.115 -2.859 O
-1.000 7.013 -2.429 O
-6.700 0.208 -12.073 O
-3.103 6.972 -10.421 O
-3.407 1.862 -1.047 O
0.684 9.372 -0.720 O
-1.521 2.985 -12.828 O
-6.325 1.120 -2.876 O
-1.754 3.802 -8.160 O
-4.731 1.556 -4.871 O
0.430 4.382 -13.519 O
-0.437 4.338 -11.129 O
-5.855 -1.918 -13.268 O
-4.194 7.272 -7.252 O
-3.418 7.688 -6.292 O
-4.418 8.168 -0.089 O
-1.764 5.592 -12.941 O
0.787 5.339 -3.250 O
1.529 7.245 -1.916 O
-2.068 0.481 -3.568 O
-1.753 -0.235 -7.697 O
-0.440 5.898 -9.117 O
-3.417 3.652 -5.828 O
-4.114 3.805 -11.258 O
-1.057 3.648 -2.730 O
-1.185 -0.863 -8.702 O
-4.134 2.541 -9.000 O
-5.887 -0.204 -9.687 O
-4.171 0.441 -11.559 O
-3.650 4.468 -1.160 O
-5.895 4.297 -9.502 O
0.716 7.658 -4.302 O
-1.037 4.913 -4.989 O
1.154 6.334 -11.112 O
-5.958 2.114 -10.738 O
-3.986 8.316 -5.286 O
0.723 3.156 -4.486 O
-0.977 0.181 -6.737 O
-3.112 -1.984 -12.424 K
-2.059 9.437 -1.564 K
0.027 6.682 -6.700 K
-1.812 1.741 -10.378 K
-3.359 5.712 -3.611 K
-5.198 0.771 -7.289 K
-4.089 2.822 -13.244 Ag
-4.002 6.224 -12.054 Ag
-1.169 1.229 -1.934 Ag
-1.082 4.631 -0.744 Ag
```

Properties
Space-group type = P-1 (2)
Density = 2.57 g/cm3
Energy above the lowest structure with this stoichiometry = 265 meV per atom

=====

(2)
First-principles (PBE-GGA) data for an optimized crystal structure of Li5SbS, as listed in the Materials Project database.

Cell and atoms, written as POSCAR:
```
Li5SbS
1.0
4.509 0.000 0.000
0.000 5.822 0.000
0.000 0.000 18.945
Li S Sb
20 4 4
Cartesian
3.351 4.040 1.572 Li
1.156 3.975 7.236 Li
1.099 1.846 16.709 Li
3.410 4.757 11.709 Li
1.131 1.561 13.163 Li
1.145 4.364 13.283 Li
3.400 4.369 5.663 Li
3.417 5.496 9.074 Li
3.353 1.065 2.237 Li
3.364 1.453 15.135 Li
1.124 4.261 3.691 Li
3.347 0.326 18.547 Li
1.092 2.585 0.399 Li
1.162 3.237 9.871 Li
3.412 1.782 11.044 Li
1.109 1.458 3.810 Li
3.385 1.350 5.782 Li
1.158 1.129 7.901 Li
1.097 4.693 17.374 Li
3.378 4.472 15.255 Li
1.113 0.087 15.153 S
3.367 2.823 3.793 S
3.396 2.998 13.265 S
1.142 5.734 5.680 S
1.158 0.114 10.750 Sb
3.412 2.797 8.195 Sb
3.351 3.025 17.668 Sb
1.097 5.707 1.278 Sb
```

Properties
Space-group type = P2_12_12_1 (19)
Density = 2.52 g/cm3
Largest piezoelectric modulus = 0.009 C/m2
Energy above the lowest structure with this stoichiometry = 7 meV per atom